No. 1
DFT (GGA+U) results for crystalline Co2P3H11N2O9 at its relaxed geometry.

Computed properties:
crystal system = trigonal
formation energy = -35.93 eV/f.u.

CIF file:
```
data_Co2P3H11N2O9
_space_group_name_H-M_alt 'P 1'
_space_group_IT_number 1
_cell_length_a 5.4324
_cell_length_b 5.4324
_cell_length_c 19.0017
_cell_angle_alpha 90.00
_cell_angle_beta 90.00
_cell_angle_gamma 120.00
loop_
_space_group_symop_operation_xyz
'x,y,z'
loop_
_atom_site_label
_atom_site_fract_x
_atom_site_fract_y
_atom_site_fract_z
O1 0.6880 0.8522 0.6019
H1 0.6667 0.3333 0.0225
H2 0.0000 0.0000 0.7951
H3 0.5385 0.7844 0.0524
H4 0.7546 0.5383 0.9488
H5 0.2156 0.7541 0.0524
O2 0.1642 0.3120 0.6019
N1 0.3333 0.6667 0.0330
H6 0.7837 0.2454 0.9488
H7 0.5383 0.7546 0.4488
P1 0.6667 0.3333 0.7645
H8 0.4615 0.2459 0.5524
H9 0.0000 0.0000 0.2951
H10 0.2459 0.4615 0.0524
O3 0.5081 0.4916 0.7440
O4 0.1605 0.8502 0.8940
H11 0.4617 0.2163 0.9488
O5 0.8522 0.6880 0.1019
O6 0.1478 0.8358 0.6019
O7 0.3104 0.1498 0.3940
N2 0.3333 0.6667 0.4681
O8 0.9835 0.4919 0.7440
H12 0.3333 0.6667 0.3382
H13 0.2454 0.7837 0.4488
H14 0.6667 0.3333 0.4786
H15 0.7541 0.2156 0.5524
H16 0.0000 0.0000 0.7017
N3 0.6667 0.3333 0.9681
O9 0.5084 0.0165 0.7440
Co1 0.6667 0.3333 0.1673
H17 0.7844 0.5385 0.5524
O10 0.3120 0.1642 0.1019
O11 0.0165 0.5084 0.2440
H18 0.6667 0.3333 0.8382
P2 0.0000 0.0000 0.8692
P3 0.0000 0.0000 0.3692
Co2 0.6667 0.3333 0.3237
P4 0.3333 0.6667 0.2645
H19 0.0000 0.0000 0.2017
O12 0.1498 0.3104 0.8940
O13 0.4919 0.9835 0.2440
H20 0.2163 0.4617 0.4488
P5 0.0000 0.0000 0.1276
Co3 0.3333 0.6667 0.6673
O14 0.4916 0.5081 0.2440
O15 0.8358 0.1478 0.1019
H21 0.3333 0.6667 0.5225
N4 0.6667 0.3333 0.5330
Co4 0.3333 0.6667 0.8237
O16 0.8395 0.6896 0.3940
O17 0.8502 0.1605 0.3940
O18 0.6896 0.8395 0.8940
P6 0.0000 0.0000 0.6276
H22 0.3333 0.6667 0.9786
```



No. 2
DFT (GGA+U) results for crystalline CoPH6NO5 at its relaxed geometry.

Computed properties:
crystal system = monoclinic
polymorph energy (0 for the lowest one) = 1 meV per atom
formation energy = -20.15 eV/f.u.

CIF file:
```
data_CoPH6NO5
_space_group_name_H-M_alt 'P 1'
_space_group_IT_number 1
_cell_length_a 5.6759
_cell_length_b 8.9417
_cell_length_c 9.6143
_cell_angle_alpha 89.97
_cell_angle_beta 90.00
_cell_angle_gamma 90.00
loop_
_space_group_symop_operation_xyz
'x,y,z'
loop_
_atom_site_label
_atom_site_fract_x
_atom_site_fract_y
_atom_site_fract_z
O1 0.9999 0.1651 0.1384
P1 0.5000 0.8064 0.0454
P2 0.5000 0.8091 0.5456
H1 0.8498 0.5888 0.0723
H2 0.1503 0.5888 0.0723
H3 0.5000 0.5465 0.2366
H4 0.3496 0.4111 0.8216
H5 0.6386 0.1869 0.5520
O2 0.7189 0.8836 0.6193
H6 0.8496 0.5889 0.5726
H7 0.1387 0.8128 0.2975
H8 0.0000 0.4578 0.1658
O3 0.2183 0.1172 0.8690
H9 0.6504 0.4115 0.3234
H10 0.5000 0.5414 0.9158
O4 0.0000 0.3634 0.3238
H11 0.6385 0.1880 0.0463
O5 0.5000 0.8334 0.8881
P3 0.0000 0.1919 0.2958
O6 0.0004 0.3643 0.8230
Co1 0.0000 0.9757 0.5107
O7 0.5001 0.8378 0.3887
H12 0.3614 0.1869 0.5519
N1 0.0000 0.5233 0.5748
Co2 0.0000 0.9796 0.0135
N2 0.0000 0.5231 0.0743
H13 0.8617 0.8122 0.8007
H14 0.8613 0.8127 0.2976
O8 0.7813 0.1176 0.8690
O9 0.0000 0.7991 0.3583
O10 0.0001 0.7980 0.8614
H15 0.0000 0.4531 0.4869
H16 0.1504 0.5889 0.5725
H17 0.0001 0.4583 0.6666
O11 0.4999 0.2019 0.6123
H18 0.0000 0.4534 0.9860
Co3 0.5000 0.0247 0.2598
H19 0.5000 0.5429 0.4165
O12 0.7811 0.1169 0.3688
O13 0.9999 0.1639 0.6386
O14 0.2811 0.8837 0.6193
P4 0.0000 0.1925 0.7954
H20 0.5001 0.5471 0.7362
O15 0.5000 0.2010 0.1075
O16 0.5000 0.6373 0.5729
H21 0.6502 0.4110 0.8216
H22 0.1386 0.8122 0.8008
Co4 0.5000 0.0203 0.7645
O17 0.2814 0.8816 0.1183
O18 0.2189 0.1169 0.3688
H23 0.3614 0.1880 0.0465
N3 0.5000 0.4767 0.8240
O19 0.7187 0.8815 0.1182
H24 0.3496 0.4115 0.3234
N4 0.5000 0.4772 0.3252
O20 0.4999 0.6348 0.0735
```